# 1
Entry from the Materials Project database: crystalline Li7VO4F2 at its relaxed geometry (GGA+U).

## Properties
- Magnetization: 0.001 μB per atom
- Formation enthalpy at 0 K: -2.40 eV/atom

Cell: 5.5230 10.4152 9.8526 Å, 107.61 90.34 90.82°
Closest atoms and distances in Å follow each position.
Fractional coordinates of all 56 atoms:
Li  0.3492  0.8214  0.9521  3 O 1.89-2.06, 1 F 1.94
Li  0.3833  0.3548  0.4543  2 O 1.86-2.02, 1 F 1.94
Li  0.1808  0.1484  0.2359  2 F 1.88-1.95, 1 O 1.94
Li  0.7925  0.3723  0.2660  2 O 1.88-1.92, 1 F 2.04
Li  0.3489  0.3158  0.7455  3 O 1.86-1.98, 1 F 2.04
Li  0.8002  0.8374  0.1284  2 O 1.89-2.02, 2 F 1.91-2.09
Li  0.7123  0.1680  0.3814  2 F 1.93-2.00, 2 O 1.99-2.01
Li  0.4991  0.9830  0.8076  4 O 2.08-2.32, 1 F 2.26
Li  0.1299  0.1700  0.5491  3 O 1.92-2.04, 1 F 1.96
Li  0.2926  0.8720  0.2659  2 O 1.89-1.92, 1 F 2.04
Li  0.9904  0.0110  0.6850  5 O 2.10-2.31
Li  0.8489  0.8158  0.7454  3 O 1.86-1.98, 1 F 2.04
Li  0.6773  0.1790  0.7489  4 O 1.91-2.00
Li  0.9991  0.4830  0.8076  4 O 2.08-2.32, 1 F 2.26
Li  0.3080  0.8119  0.6151  4 O 1.91-2.02
Li  0.3002  0.3374  0.1283  2 O 1.89-2.02, 2 F 1.91-2.09
Li  0.2122  0.6680  0.3814  2 F 1.93-2.00, 2 O 1.99-2.01
Li  0.1932  0.1757  0.8782  3 O 1.90-2.02, 1 F 1.93
Li  0.1251  0.6746  0.0508  3 O 1.90-2.06, 1 F 1.96
Li  0.6251  0.1745  0.0508  3 O 1.89-2.06, 1 F 1.96
Li  0.6809  0.6486  0.2359  2 F 1.88-1.95, 1 O 1.94
Li  0.8835  0.8548  0.4543  2 O 1.86-2.02, 1 F 1.94
Li  0.1774  0.6790  0.7489  4 O 1.91-2.00
Li  0.6297  0.6701  0.5491  3 O 1.92-2.04, 1 F 1.96
Li  0.6933  0.6759  0.8782  3 O 1.90-2.02, 1 F 1.93
Li  0.8491  0.3214  0.9521  3 O 1.89-2.06, 1 F 1.94
Li  0.4904  0.5110  0.6850  5 O 2.10-2.31
Li  0.8080  0.3119  0.6151  4 O 1.91-2.02
O  0.7885  0.6351  0.0456  4 Li 1.90-2.02, 1 V 1.93
O  0.8005  0.1093  0.5496  4 Li 1.92-2.01, 1 V 2.00
O  0.2195  0.8705  0.4556  4 Li 1.86-2.01, 1 V 1.99
O  0.6577  0.8721  0.6187  5 Li 1.86-2.08, 1 V 2.04
O  0.1263  0.8817  0.1018  4 Li 1.89-2.06, 1 V 1.99
O  0.1576  0.3721  0.6188  5 Li 1.86-2.08, 1 V 2.04
O  0.6749  0.3789  0.8048  5 Li 1.93-2.08, 1 V 2.08
O  0.8390  0.6170  0.6948  4 Li 1.91-2.04, 1 V 1.96
O  0.2886  0.1350  0.0456  4 Li 1.89-2.02, 1 V 1.93
O  0.7193  0.3706  0.4556  4 Li 1.86-2.01, 1 V 1.99
O  0.6262  0.3818  0.1019  4 Li 1.88-2.06, 1 V 1.99
O  0.8456  0.1135  0.8840  5 Li 1.91-2.10, 1 V 2.04
O  0.3004  0.6093  0.5496  4 Li 1.92-2.01, 1 V 2.00
O  0.3457  0.6136  0.8840  5 Li 1.91-2.10, 1 V 2.04
O  0.3391  0.1169  0.6948  4 Li 1.91-2.04, 1 V 1.96
O  0.1749  0.8789  0.8047  5 Li 1.93-2.08, 1 V 2.08
F  0.3594  0.1285  0.3915  3 Li 1.88-2.00
F  0.6869  0.8701  0.9395  4 Li 1.93-2.09
F  0.1868  0.3701  0.9394  4 Li 1.93-2.09
F  0.6524  0.8668  0.3099  3 Li 1.91-2.04
F  0.1523  0.3667  0.3098  3 Li 1.91-2.04
F  0.3362  0.6300  0.1903  3 Li 1.93-1.96
F  0.8593  0.6285  0.3915  3 Li 1.88-2.00
F  0.8362  0.1297  0.1903  3 Li 1.93-1.96
V  0.5281  0.5041  0.9905  4 O 1.93-2.08
V  0.4950  0.9992  0.5252  4 O 1.96-2.04
V  0.0280  0.0040  0.9905  4 O 1.93-2.08
V  0.9948  0.4991  0.5252  4 O 1.96-2.04

***

# 2
Entry from the Materials Project database: crystalline Li5Nb2Fe5O12 at its relaxed geometry (GGA+U).

## Properties
- Magnetization: 0.792 μB per atom
- Space group: No. 1
- Formation enthalpy at 0 K: -2.14 eV/atom

Cell: 5.2096 5.3122 10.2516 Å, 84.06 77.77 60.82°
Closest atoms and distances in Å follow each position.
Fractional coordinates of all 24 atoms:
O  0.0238  0.1855  0.3617  1 Nb 2.11, 3 Fe 2.12-2.26, 1 Li 2.12
O  0.7893  0.1772  0.1299  3 Fe 2.06-2.21, 2 Li 2.08-2.24, 1 Nb 2.17
O  0.2933  0.1914  0.6337  1 Nb 2.02, 3 Li 2.09-2.24, 2 Fe 2.18-2.20
O  0.1281  0.5044  0.1262  3 Fe 2.10-2.26, 1 Nb 2.13, 2 Li 2.30
O  0.3736  0.5024  0.3769  1 Nb 2.09, 3 Fe 2.09-2.23, 2 Li 2.27-2.29
O  0.2041  0.8093  0.8675  1 Nb 2.03, 2 Li 2.03-2.18, 2 Fe 2.15-2.20
O  0.7013  0.8191  0.3807  2 Li 2.04-2.22, 1 Nb 2.11, 3 Fe 2.15-2.19
O  0.8858  0.4963  0.8712  1 Nb 2.02, 2 Fe 2.13-2.20, 3 Li 2.19-2.24
O  0.6135  0.5106  0.6357  1 Nb 2.06, 2 Fe 2.13-2.16, 3 Li 2.19-2.30
O  0.9850  0.8151  0.6307  1 Nb 2.02, 3 Li 2.04-2.25, 2 Fe 2.15-2.20
O  0.5199  0.1794  0.8628  1 Nb 2.08, 2 Fe 2.09-2.19, 3 Li 2.12-2.25
O  0.4887  0.8090  0.1235  1 Nb 2.01, 1 Li 2.07, 3 Fe 2.22-2.23
Fe  0.5043  0.4890  0.9940  6 O 2.10-2.22
Fe  0.0018  0.4982  0.5023  6 O 2.09-2.26
Fe  0.5842  0.8378  0.7517  6 O 2.09-2.20
Fe  0.4303  0.1547  0.2513  6 O 2.06-2.26
Fe  0.0799  0.8236  0.2498  6 O 2.11-2.22
Nb  0.2398  0.5054  0.7495  6 O 2.02-2.08
Nb  0.7350  0.5197  0.2490  6 O 2.01-2.17
Li  0.9195  0.1614  0.7494  6 O 2.12-2.19
Li  0.8266  0.8535  0.9937  5 O 2.03-2.25
Li  0.6793  0.1526  0.5033  6 O 2.09-2.30
Li  0.1650  0.1530  0.9979  6 O 2.08-2.30
Li  0.3277  0.8514  0.5075  4 O 2.04-2.24